Entry 1:
Computed, not measured: a geometry-optimized GaAgSe2 structure at the PBE level of DFT.

Calculated values
* volume: 25.87 A^3/atom
* symmetry: I-42d
* formation energy: -66.64 kJ/mol of atoms
* piezoelectric modulus e_max: 0.22 C/m2
* total DFT energy (no corrections): -3.67 eV per atom

Cell lengths 7.0792, 7.0792, 7.0792 Å; angles 129.32, 129.32, 74.50 degrees
Last column: nearest neighbours and their distance in Å.
Fractional positions:
Ga  0.0000  0.0000  0.0000  4 Se 2.46
Ga  0.7500  0.2500  0.5000  4 Se 2.46
Ag  0.2500  0.7500  0.5000  4 Se 2.67
Ag  0.5000  0.5000  0.0000  4 Se 2.67
Se  0.0955  0.6250  0.9705  2 Ga 2.46, 2 Ag 2.67
Se  0.3750  0.3455  0.4705  2 Ga 2.46, 2 Ag 2.67
Se  0.6545  0.1250  0.0295  2 Ga 2.46, 2 Ag 2.67
Se  0.8750  0.9045  0.5295  2 Ga 2.46, 2 Ag 2.67

Entry 2:
Computed, not measured: a geometry-optimized GaAgSnSe4 structure at the PBE level of DFT.

Calculated values
* volume: 28.43 A^3/atom
* symmetry: I-4
* formation energy: -65.11 kJ/mol of atoms
* total DFT energy (no corrections): -3.81 eV per atom

Cell lengths 6.9252, 6.9252, 6.9252 Å; angles 128.27, 128.27, 76.19 degrees
Last column: nearest neighbours and their distance in Å.
Fractional positions:
Ga  0.0000  0.0000  0.0000  4 Se 2.45
Ag  0.5000  0.5000  0.0000  4 Se 2.70
Sn  0.7500  0.2500  0.5000  4 Se 2.59
Se  0.1130  0.0901  0.4659  1 Ga 2.45, 1 Sn 2.59, 1 Ag 2.70
Se  0.3530  0.8870  0.9771  1 Ga 2.45, 1 Sn 2.59, 1 Ag 2.70
Se  0.6241  0.6470  0.5341  1 Ga 2.45, 1 Sn 2.59, 1 Ag 2.70
Se  0.9099  0.3759  0.0229  1 Ga 2.45, 1 Sn 2.59, 1 Ag 2.70

Entry 3:
Computed, not measured: a geometry-optimized GaAgSnSe4 structure at the PBE level of DFT.

Calculated values
* volume: 28.57 A^3/atom
* symmetry: I-4
* formation energy: -65.30 kJ/mol of atoms
* piezoelectric modulus e_max: 0.65 C/m2
* total DFT energy (no corrections): -3.81 eV per atom

Cell lengths 6.9506, 6.9506, 6.9506 Å; angles 128.51, 128.51, 75.80 degrees
Last column: nearest neighbours and their distance in Å.
Fractional positions:
Ga  0.0000  0.0000  0.0000  4 Se 2.45
Ag  0.7500  0.2500  0.5000  4 Se 2.68
Sn  0.2500  0.7500  0.5000  4 Se 2.59
Se  0.1471  0.1346  0.5004  1 Ga 2.45, 1 Sn 2.59, 1 Ag 2.68
Se  0.3533  0.8529  0.9875  1 Ga 2.45, 1 Sn 2.59, 1 Ag 2.68
Se  0.6342  0.6467  0.4996  1 Ga 2.45, 1 Sn 2.59, 1 Ag 2.68
Se  0.8654  0.3658  0.0125  1 Ga 2.45, 1 Sn 2.59, 1 Ag 2.68

Entry 4:
Computed, not measured: a geometry-optimized GaAgTeSe structure at the PBE level of DFT.

Calculated values
* volume: 28.62 A^3/atom
* symmetry: I2_12_12_1
* formation energy: -45.93 kJ/mol of atoms
* total DFT energy (no corrections): -3.48 eV per atom

Cell lengths 7.3432, 7.3432, 7.3432 Å; angles 130.03, 129.26, 73.98 degrees
Last column: nearest neighbours and their distance in Å.
Fractional positions:
Ga  0.1342  0.3842  0.7500  2 Se 2.48, 2 Te 2.65
Ga  0.3658  0.1158  0.2500  2 Se 2.48, 2 Te 2.65
Ag  0.6297  0.8797  0.7500  2 Se 2.74, 2 Te 2.75
Ag  0.8703  0.6203  0.2500  2 Se 2.74, 2 Te 2.75
Te  0.2500  0.0180  0.7680  2 Ga 2.65, 2 Ag 2.75
Te  0.7500  0.4820  0.7320  2 Ga 2.65, 2 Ag 2.75
Se  0.0306  0.2500  0.2806  2 Ga 2.48, 2 Ag 2.74
Se  0.4694  0.7500  0.2194  2 Ga 2.48, 2 Ag 2.74

Entry 5:
Computed, not measured: a geometry-optimized Ga2Ag2TeSe3 structure at the PBE level of DFT.

Calculated values
* volume: 27.17 A^3/atom
* symmetry: C2
* formation energy: -56.06 kJ/mol of atoms
* total DFT energy (no corrections): -3.57 eV per atom

Cell lengths 7.1684, 7.1684, 6.1765 Å; angles 114.71, 114.71, 50.55 degrees
Last column: nearest neighbours and their distance in Å.
Fractional positions:
Ga  0.1294  0.1294  0.3898  3 Se 2.47-2.48, 1 Te 2.64
Ga  0.8706  0.8706  0.6102  3 Se 2.47-2.48, 1 Te 2.64
Ag  0.3543  0.3894  0.1292  3 Se 2.67-2.71, 1 Te 2.75
Ag  0.6106  0.6457  0.8708  3 Se 2.67-2.71, 1 Te 2.75
Te  0.7631  0.2369  0.0000  2 Ga 2.64, 2 Ag 2.75
Se  0.2161  0.7839  0.5000  2 Ga 2.47, 2 Ag 2.67
Se  0.4928  0.0072  0.2800  2 Ga 2.47-2.48, 2 Ag 2.70-2.71
Se  0.9928  0.5072  0.7200  2 Ga 2.47-2.48, 2 Ag 2.70-2.71

Entry 6:
Computed, not measured: a geometry-optimized Zn2GaAgSe4 structure at the PBE level of DFT.

Calculated values
* volume: 24.71 A^3/atom
* energy above the lowest structure with this stoichiometry: 0.000 eV per atom
* symmetry: I-42m
* formation energy: -78.41 kJ/mol of atoms
* total DFT energy (no corrections): -3.37 eV per atom

Cell lengths 7.0647, 7.0647, 7.0647 Å; angles 130.77, 130.77, 72.17 degrees
Last column: nearest neighbours and their distance in Å.
Fractional positions:
Zn  0.2500  0.7500  0.5000  4 Se 2.50
Zn  0.7500  0.2500  0.5000  4 Se 2.50
Ga  0.0000  0.0000  0.0000  4 Se 2.45
Ag  0.5000  0.5000  0.0000  4 Se 2.65
Se  0.1070  0.1070  0.4719  1 Ga 2.45, 2 Zn 2.50, 1 Ag 2.65
Se  0.3649  0.8930  0.0000  1 Ga 2.45, 2 Zn 2.50, 1 Ag 2.65
Se  0.6351  0.6351  0.5281  1 Ga 2.45, 2 Zn 2.50, 1 Ag 2.65
Se  0.8930  0.3649  0.0000  1 Ga 2.45, 2 Zn 2.50, 1 Ag 2.65

Entry 7:
Computed, not measured: a geometry-optimized Zn2GaAgSe4 structure at the PBE level of DFT.

Calculated values
* volume: 24.94 A^3/atom
* energy above the lowest structure with this stoichiometry: 0.044 eV per atom
* symmetry: Pm
* formation energy: -74.20 kJ/mol of atoms
* total DFT energy (no corrections): -3.33 eV per atom

Cell lengths 6.7850, 4.0850, 7.1986 Å; angles 90.00, 90.16, 90.00 degrees
Last column: nearest neighbours and their distance in Å.
Fractional positions:
Zn  0.0000  0.0000  0.0000  4 Se 2.44-2.61
Zn  0.4706  0.5000  0.8399  4 Se 2.43-2.59
Ga  0.0000  0.5000  0.5156  4 Se 2.38-2.54
Ag  0.4816  0.0000  0.3365  4 Se 2.59-2.66
Se  0.3508  0.5000  0.5215  1 Ga 2.38, 1 Zn 2.43, 2 Ag 2.60
Se  0.3593  0.0000  0.9953  3 Zn 2.44-2.45, 1 Ag 2.59
Se  0.8524  0.5000  0.8376  1 Ga 2.53, 3 Zn 2.56-2.59
Se  0.8736  0.0000  0.3416  2 Ga 2.54, 1 Zn 2.61, 1 Ag 2.66

Entry 8:
Computed, not measured: a geometry-optimized SmGa3Ag structure at the PBE level of DFT.

Calculated values
* volume: 19.98 A^3/atom
* symmetry: I-4m2
* formation energy: -44.61 kJ/mol of atoms
* total DFT energy (no corrections): -3.79 eV per atom

Cell lengths 6.2556, 6.2556, 6.2556 Å; angles 140.09, 140.09, 57.71 degrees
Last column: nearest neighbours and their distance in Å.
Fractional positions:
Sm  0.0000  0.0000  0.0000  12 Ga 3.26-3.47, 4 Ag 3.47
Ga  0.3884  0.3884  0.0000  3 Ga 2.45-2.62, 2 Ag 2.62
Ga  0.6116  0.6116  0.0000  3 Ga 2.45-2.62, 2 Ag 2.62
Ga  0.7500  0.2500  0.5000  4 Ga 2.62
Ag  0.2500  0.7500  0.5000  4 Ga 2.62

Which of these has the lowest volume?
SmGa3Ag

What is the formation energy in the eighth record?
-44.61 kJ/mol of atoms